# PBE GdB6O12, relaxed
# Crystal system: trigonal
data_GdB6O12
_cell_length_a 8.7700
_cell_length_b 8.7700
_cell_length_c 20.4072
_cell_angle_alpha 90.00
_cell_angle_beta 90.00
_cell_angle_gamma 120.00
_space_group_name_H-M_alt 'R 3 c'
_space_group_IT_number 161
_space_group_name_Hall 'R 3 -2"c'
loop_
_atom_site_label
_atom_site_fract_x
_atom_site_fract_y
_atom_site_fract_z
_atom_site_occupancy
Gd1 0.0000 0.0000 0.0000 1
B1 0.0147 0.2491 0.3642 1
B2 0.0513 0.3777 0.5793 1
O1 0.0037 0.4730 0.5332 1
O2 0.0226 0.4097 0.6489 1
O3 0.1415 0.4248 0.2316 1
O4 0.2023 0.4503 0.0798 1

=====

# PBE GdB4Os, relaxed
# Crystal system: orthorhombic
data_GdB4Os
_cell_length_a 5.9988
_cell_length_b 11.6054
_cell_length_c 3.5875
_cell_angle_alpha 90.00
_cell_angle_beta 90.00
_cell_angle_gamma 90.00
_space_group_name_H-M_alt 'P b a m'
_space_group_IT_number 55
loop_
_space_group_symop_operation_xyz
'x,y,z'
'-x,-y,-z'
'-x,-y,z'
'x,y,-z'
'x+1/2,-y+1/2,-z'
'-x+1/2,y+1/2,z'
'-x+1/2,y+1/2,-z'
'x+1/2,-y+1/2,z'
loop_
_atom_site_label
_atom_site_fract_x
_atom_site_fract_y
_atom_site_fract_z
_atom_site_occupancy
Gd1 0.1279 0.1503 0.0000 1
B1 0.0252 0.6906 0.5000 1
B2 0.1119 0.5464 0.5000 1
B3 0.1370 0.9698 0.5000 1
B4 0.2125 0.8146 0.5000 1
Os1 0.1404 0.4071 0.0000 1

=====

no.,final energy (eV/atom),energy relative to the elements (eV/atom)
1,-8.18,-2.6409
2,-9.23,-0.5607